[1]
Here is Li4SiO4 after structural relaxation from the Materials Project. Energies are from PBE.

Values from the calculation:
E_form: -2.67 eV/atom
symmetry: No. 11
DFT total energy: -6.0172 eV/atom

abc: 11.644 6.128 16.836
angles: 90.00 98.97 90.00
Fractional coordinates of all 126 atoms:
Li (0.006, 0.250, 0.011)
Li (0.027, 0.750, 0.570)
Li (0.051, 0.529, 0.293)
Li (0.051, 0.971, 0.293)
Li (0.079, 0.014, 0.867)
Li (0.079, 0.486, 0.867)
Li (0.127, 0.750, 0.711)
Li (0.129, 0.250, 0.146)
Li (0.140, 0.250, 0.732)
Li (0.188, 0.503, 0.455)
Li (0.188, 0.997, 0.455)
Li (0.193, 0.531, 0.015)
Li (0.193, 0.969, 0.015)
Li (0.238, 0.039, 0.598)
Li (0.238, 0.461, 0.598)
Li (0.272, 0.750, 0.304)
Li (0.275, 0.250, 0.860)
Li (0.334, 0.535, 0.732)
Li (0.334, 0.965, 0.732)
Li (0.337, 0.507, 0.173)
Li (0.337, 0.993, 0.173)
Li (0.383, 0.004, 0.408)
Li (0.383, 0.496, 0.408)
Li (0.410, 0.750, 0.017)
Li (0.417, 0.250, 0.550)
Li (0.453, 0.250, 0.277)
Li (0.477, 0.506, 0.883)
Li (0.477, 0.994, 0.883)
Li (0.523, 0.006, 0.117)
Li (0.523, 0.494, 0.117)
Li (0.547, 0.750, 0.723)
Li (0.583, 0.750, 0.450)
Li (0.590, 0.250, 0.983)
Li (0.617, 0.504, 0.592)
Li (0.617, 0.996, 0.592)
Li (0.663, 0.007, 0.827)
Li (0.663, 0.493, 0.827)
Li (0.666, 0.035, 0.268)
Li (0.666, 0.465, 0.268)
Li (0.725, 0.750, 0.140)
Li (0.728, 0.250, 0.696)
Li (0.762, 0.539, 0.402)
Li (0.762, 0.961, 0.402)
Li (0.807, 0.031, 0.985)
Li (0.807, 0.469, 0.985)
Li (0.812, 0.003, 0.545)
Li (0.812, 0.497, 0.545)
Li (0.860, 0.750, 0.268)
Li (0.871, 0.750, 0.854)
Li (0.873, 0.250, 0.289)
Li (0.921, 0.514, 0.133)
Li (0.921, 0.986, 0.133)
Li (0.949, 0.029, 0.707)
Li (0.949, 0.471, 0.707)
Li (0.973, 0.250, 0.430)
Li (0.994, 0.750, 0.989)
Si (0.040, 0.250, 0.579)
Si (0.105, 0.750, 0.144)
Si (0.202, 0.250, 0.292)
Si (0.248, 0.750, 0.862)
Si (0.341, 0.250, 0.006)
Si (0.384, 0.750, 0.571)
Si (0.477, 0.250, 0.714)
Si (0.523, 0.750, 0.286)
Si (0.616, 0.250, 0.429)
Si (0.659, 0.750, 0.994)
Si (0.752, 0.250, 0.138)
Si (0.798, 0.750, 0.708)
Si (0.895, 0.250, 0.856)
Si (0.960, 0.750, 0.421)
O (0.008, 0.750, 0.207)
O (0.062, 0.250, 0.246)
O (0.069, 0.031, 0.638)
O (0.069, 0.469, 0.638)
O (0.072, 0.532, 0.084)
O (0.072, 0.968, 0.084)
O (0.091, 0.750, 0.470)
O (0.133, 0.250, 0.514)
O (0.156, 0.750, 0.929)
O (0.200, 0.250, 0.960)
O (0.215, 0.531, 0.804)
O (0.215, 0.969, 0.804)
O (0.218, 0.025, 0.346)
O (0.218, 0.475, 0.346)
O (0.238, 0.750, 0.187)
O (0.282, 0.250, 0.221)
O (0.304, 0.750, 0.647)
O (0.334, 0.250, 0.676)
O (0.345, 0.528, 0.518)
O (0.345, 0.972, 0.518)
O (0.358, 0.026, 0.061)
O (0.358, 0.474, 0.061)
O (0.384, 0.750, 0.902)
O (0.421, 0.250, 0.934)
O (0.444, 0.750, 0.359)
O (0.477, 0.250, 0.395)
O (0.498, 0.028, 0.770)
O (0.498, 0.472, 0.770)
O (0.502, 0.528, 0.230)
O (0.502, 0.972, 0.230)
O (0.523, 0.750, 0.605)
O (0.556, 0.250, 0.641)
O (0.579, 0.750, 0.066)
O (0.616, 0.250, 0.098)
O (0.642, 0.526, 0.939)
O (0.642, 0.974, 0.939)
O (0.655, 0.028, 0.482)
O (0.655, 0.472, 0.482)
O (0.666, 0.750, 0.324)
O (0.696, 0.250, 0.353)
O (0.718, 0.750, 0.779)
O (0.762, 0.250, 0.813)
O (0.782, 0.525, 0.654)
O (0.782, 0.975, 0.654)
O (0.785, 0.031, 0.196)
O (0.785, 0.469, 0.196)
O (0.800, 0.750, 0.040)
O (0.844, 0.250, 0.071)
O (0.867, 0.750, 0.486)
O (0.909, 0.250, 0.530)
O (0.928, 0.032, 0.916)
O (0.928, 0.468, 0.916)
O (0.931, 0.531, 0.362)
O (0.931, 0.969, 0.362)
O (0.938, 0.750, 0.754)
O (0.992, 0.250, 0.793)

[2]
Here is Li4SiO4 after structural relaxation from the Materials Project. Energies are from PBE.

Values from the calculation:
E_form: -2.62 eV/atom
symmetry: No. 1
DFT total energy: -5.9602 eV/atom

abc: 5.282 5.533 18.260
angles: 92.10 90.15 90.37
Fractional coordinates of all 54 atoms:
Li (0.000, 0.000, 0.000)
Li (0.002, 0.015, 0.478)
Li (0.105, 0.015, 0.663)
Li (0.128, 0.005, 0.810)
Li (0.132, 0.015, 0.157)
Li (0.138, 0.031, 0.332)
Li (0.167, 0.403, 0.917)
Li (0.178, 0.439, 0.583)
Li (0.312, 0.711, 0.243)
Li (0.370, 0.799, 0.552)
Li (0.372, 0.757, 0.892)
Li (0.414, 0.394, 0.338)
Li (0.429, 0.339, 0.140)
Li (0.435, 0.373, 0.805)
Li (0.463, 0.744, 0.038)
Li (0.478, 0.312, 0.683)
Li (0.483, 0.258, 0.018)
Li (0.492, 0.315, 0.459)
Li (0.532, 0.834, 0.399)
Li (0.536, 0.815, 0.728)
Li (0.714, 0.690, 0.167)
Li (0.811, 0.677, 0.588)
Li (0.830, 0.667, 0.911)
Li (0.864, 0.532, 0.293)
Si (0.001, 0.518, 0.745)
Si (0.016, 0.530, 0.421)
Si (0.649, 0.139, 0.242)
Si (0.664, 0.129, 0.897)
Si (0.678, 0.147, 0.571)
Si (0.999, 0.508, 0.072)
O (0.076, 0.668, 0.501)
O (0.085, 0.660, 0.147)
O (0.093, 0.674, 0.674)
O (0.094, 0.652, 0.997)
O (0.101, 0.638, 0.826)
O (0.148, 0.244, 0.069)
O (0.152, 0.263, 0.418)
O (0.152, 0.673, 0.351)
O (0.154, 0.258, 0.738)
O (0.510, 0.036, 0.314)
O (0.526, 0.005, 0.824)
O (0.527, 0.995, 0.168)
O (0.541, 0.403, 0.911)
O (0.546, 0.418, 0.574)
O (0.554, 0.986, 0.636)
O (0.566, 0.436, 0.236)
O (0.588, 0.957, 0.967)
O (0.606, 0.004, 0.493)
O (0.687, 0.488, 0.074)
O (0.692, 0.502, 0.745)
O (0.713, 0.519, 0.399)
O (0.957, 0.129, 0.246)
O (0.972, 0.129, 0.899)
O (0.985, 0.157, 0.578)

[3]
Here is Li4SiO4 after structural relaxation from the Materials Project. Energies are from PBE.

Values from the calculation:
largest piezoelectric modulus: 0.83 C/m2
E_form: -2.64 eV/atom
symmetry: No. 1
DFT total energy: -5.9895 eV/atom

abc: 5.232 5.389 6.143
angles: 88.55 89.86 89.66
Fractional coordinates of all 18 atoms:
Li (0.000, 0.000, 0.000)
Li (0.014, 0.543, 0.229)
Li (0.245, 0.343, 0.516)
Li (0.267, 0.871, 0.664)
Li (0.376, 0.147, 0.211)
Li (0.570, 0.191, 0.793)
Li (0.590, 0.639, 0.468)
Li (0.983, 0.520, 0.775)
Si (0.506, 0.664, 0.992)
Si (0.854, 0.031, 0.485)
O (0.380, 0.945, 0.964)
O (0.399, 0.517, 0.214)
O (0.411, 0.525, 0.761)
O (0.536, 0.037, 0.487)
O (0.818, 0.680, 0.000)
O (0.949, 0.736, 0.504)
O (0.950, 0.173, 0.708)
O (0.993, 0.177, 0.281)

[4]
Here is LiSi6O12 after structural relaxation from the Materials Project. Energies are from PBE.

Values from the calculation:
E_form: -3.03 eV/atom
symmetry: No. 1
relative energy among the computed polymorphs: 0.000 eV/atom
DFT total energy: -7.5347 eV/atom

abc: 5.261 7.485 7.618
angles: 72.42 70.44 70.83
Fractional coordinates of all 19 atoms:
Li (0.000, 0.000, 0.000)
Si (0.052, 0.409, 0.021)
Si (0.391, 0.587, 0.178)
Si (0.406, 0.529, 0.599)
Si (0.412, 0.963, 0.546)
Si (0.426, 0.996, 0.131)
Si (0.766, 0.127, 0.699)
O (0.101, 0.044, 0.685)
O (0.128, 0.171, 0.082)
O (0.158, 0.479, 0.788)
O (0.195, 0.498, 0.122)
O (0.304, 0.823, 0.094)
O (0.313, 0.544, 0.411)
O (0.404, 0.070, 0.328)
O (0.474, 0.728, 0.591)
O (0.647, 0.094, 0.932)
O (0.649, 0.010, 0.608)
O (0.694, 0.356, 0.602)
O (0.715, 0.489, 0.085)

[5]
Here is LiSi6O12 after structural relaxation from the Materials Project. Energies are from PBE.

Values from the calculation:
E_form: -3.01 eV/atom
symmetry: No. 1
relative energy among the computed polymorphs: 0.018 eV/atom
DFT total energy: -7.5171 eV/atom

abc: 5.193 7.520 7.536
angles: 93.61 109.30 109.39
Fractional coordinates of all 19 atoms:
Li (0.000, 0.000, 0.000)
Si (0.028, 0.407, 0.122)
Si (0.412, 0.691, 0.744)
Si (0.508, 0.820, 0.168)
Si (0.530, 0.232, 0.280)
Si (0.917, 0.868, 0.592)
Si (0.940, 0.282, 0.705)
O (0.011, 0.081, 0.726)
O (0.204, 0.808, 0.645)
O (0.219, 0.270, 0.202)
O (0.230, 0.461, 0.713)
O (0.238, 0.633, 0.169)
O (0.401, 0.006, 0.162)
O (0.602, 0.796, 0.978)
O (0.653, 0.245, 0.511)
O (0.663, 0.716, 0.651)
O (0.781, 0.380, 0.218)
O (0.802, 0.874, 0.362)
O (0.856, 0.324, 0.890)

[6]
Here is SrLi2SiO4 after structural relaxation from the Materials Project. Energies are from PBE.

Values from the calculation:
E_form: -3.02 eV/atom
symmetry: No. 152
DFT total energy: -6.5192 eV/atom

abc: 5.081 5.081 12.581
angles: 90.00 90.00 120.00
Fractional coordinates of all 24 atoms:
Sr (0.000, 0.419, 0.167)
Sr (0.419, 0.000, 0.833)
Sr (0.581, 0.581, 0.500)
Li (0.072, 0.408, 0.921)
Li (0.336, 0.928, 0.588)
Li (0.408, 0.072, 0.079)
Li (0.592, 0.664, 0.255)
Li (0.664, 0.592, 0.745)
Li (0.928, 0.336, 0.412)
Si (0.000, 0.277, 0.667)
Si (0.277, 0.000, 0.333)
Si (0.723, 0.723, 0.000)
O (0.036, 0.485, 0.560)
O (0.067, 0.761, 0.996)
O (0.239, 0.306, 0.329)
O (0.306, 0.239, 0.671)
O (0.449, 0.964, 0.227)
O (0.485, 0.036, 0.440)
O (0.515, 0.551, 0.894)
O (0.551, 0.515, 0.106)
O (0.694, 0.933, 0.663)
O (0.761, 0.067, 0.004)
O (0.933, 0.694, 0.337)
O (0.964, 0.449, 0.773)

[7]
Here is Li9Ti5Si2O16 after structural relaxation from the Materials Project. Energies are from PBE.

Values from the calculation:
E_form: -2.87 eV/atom
symmetry: No. 2
DFT total energy: -7.1094 eV/atom

abc: 5.002 5.177 11.204
angles: 80.06 85.73 80.48
Fractional coordinates of all 32 atoms:
Li (0.000, 0.000, 0.000)
Li (0.247, 0.937, 0.560)
Li (0.248, 0.429, 0.058)
Li (0.252, 0.176, 0.310)
Li (0.252, 0.683, 0.820)
Li (0.748, 0.317, 0.180)
Li (0.748, 0.824, 0.690)
Li (0.752, 0.571, 0.942)
Li (0.753, 0.063, 0.440)
Ti (0.000, 0.250, 0.753)
Ti (0.000, 0.500, 0.500)
Ti (0.000, 0.750, 0.247)
Ti (0.498, 0.385, 0.617)
Ti (0.502, 0.615, 0.383)
Si (0.499, 0.881, 0.117)
Si (0.501, 0.119, 0.883)
O (0.120, 0.588, 0.660)
O (0.121, 0.837, 0.402)
O (0.165, 0.057, 0.154)
O (0.165, 0.317, 0.900)
O (0.372, 0.273, 0.466)
O (0.381, 0.047, 0.741)
O (0.381, 0.579, 0.205)
O (0.398, 0.822, 0.974)
O (0.602, 0.178, 0.026)
O (0.619, 0.421, 0.795)
O (0.619, 0.953, 0.259)
O (0.628, 0.727, 0.534)
O (0.835, 0.683, 0.100)
O (0.835, 0.943, 0.846)
O (0.879, 0.163, 0.598)
O (0.880, 0.412, 0.340)

[8]
Here is LiTiSi3O8 after structural relaxation from the Materials Project. Energies are from PBE.

Values from the calculation:
E_form: -3.10 eV/atom
symmetry: No. 2
relative energy among the computed polymorphs: 0.000 eV/atom
DFT total energy: -7.7314 eV/atom

abc: 7.113 7.195 7.511
angles: 117.54 106.18 98.68
Fractional coordinates of all 26 atoms:
Li (0.114, 0.007, 0.304)
Li (0.886, 0.993, 0.696)
Ti (0.454, 0.057, 0.681)
Ti (0.546, 0.943, 0.319)
Si (0.165, 0.552, 0.308)
Si (0.273, 0.479, 0.710)
Si (0.312, 0.162, 0.036)
Si (0.688, 0.838, 0.964)
Si (0.727, 0.521, 0.290)
Si (0.835, 0.448, 0.692)
O (0.076, 0.464, 0.778)
O (0.182, 0.334, 0.114)
O (0.200, 0.989, 0.774)
O (0.237, 0.544, 0.527)
O (0.299, 0.794, 0.364)
O (0.315, 0.244, 0.615)
O (0.353, 0.059, 0.190)
O (0.466, 0.685, 0.937)
O (0.534, 0.315, 0.063)
O (0.647, 0.941, 0.810)
O (0.685, 0.756, 0.385)
O (0.701, 0.206, 0.636)
O (0.763, 0.456, 0.473)
O (0.800, 0.011, 0.226)
O (0.818, 0.666, 0.886)
O (0.924, 0.536, 0.222)

Question: Look up the DFT total energy of the fourth one.
Answer: -7.5347 eV/atom